## Nb2CdO6 (GGA-PBE)

Data for Nb2CdO6 after structural relaxation.

Computed properties:
- Space-group type: No. 60
- Energy of formation from the pure elements: -24.45 eV per formula unit

abc: 5.231 5.962 15.047
angles: 90.00 90.00 90.00
Fractional positions:
Nb  0.291  0.318  0.165
Nb  0.791  0.682  0.165
Nb  0.791  0.182  0.335
Nb  0.291  0.818  0.335
Nb  0.709  0.182  0.665
Nb  0.209  0.818  0.665
Nb  0.209  0.318  0.835
Nb  0.709  0.682  0.835
Cd  0.750  0.202  0.000
Cd  0.250  0.798  0.000
Cd  0.250  0.298  0.500
Cd  0.750  0.702  0.500
O  0.411  0.109  0.087
O  0.911  0.891  0.087
O  0.983  0.413  0.102
O  0.483  0.587  0.102
O  0.621  0.364  0.243
O  0.121  0.636  0.243
O  0.121  0.136  0.257
O  0.621  0.864  0.257
O  0.483  0.087  0.398
O  0.983  0.913  0.398
O  0.911  0.391  0.413
O  0.411  0.609  0.413
O  0.589  0.391  0.587
O  0.089  0.609  0.587
O  0.017  0.087  0.602
O  0.517  0.913  0.602
O  0.379  0.136  0.743
O  0.879  0.864  0.743
O  0.879  0.364  0.757
O  0.379  0.636  0.757
O  0.517  0.413  0.898
O  0.017  0.587  0.898
O  0.089  0.109  0.913
O  0.589  0.891  0.913



## Mg6SiBi (GGA-PBE)

Data for Mg6SiBi after structural relaxation.

Computed properties:
- Energy of formation from the pure elements: 0.42 eV per formula unit

abc: 5.199 6.412 10.940
angles: 90.00 90.00 90.00
Fractional positions:
Mg  0.500  0.250  0.584
Mg  0.500  0.750  0.584
Mg  0.000  0.260  0.417
Mg  0.000  0.740  0.417
Mg  0.000  0.000  0.670
Mg  0.000  0.000  0.164
Mg  0.500  0.750  0.084
Mg  0.500  0.250  0.084
Mg  0.000  0.760  0.917
Mg  0.000  0.240  0.917
Mg  0.000  0.500  0.170
Mg  0.000  0.500  0.664
Si  0.500  0.000  0.832
Si  0.500  0.500  0.332
Bi  0.500  0.000  0.333
Bi  0.500  0.500  0.833



## SmAl3B4O12 (GGA-PBE)

Data for SmAl3B4O12 after structural relaxation.

Computed properties:
- Space-group type: No. 15
- Energy of formation from the pure elements: -64.84 eV per formula unit

abc: 5.960 5.960 11.199
angles: 81.88 81.88 104.42
Fractional positions:
Sm  0.964  0.036  0.750
Sm  0.036  0.964  0.250
Al  0.695  0.195  0.028
Al  0.305  0.805  0.972
Al  0.805  0.305  0.472
Al  0.195  0.695  0.528
Al  0.412  0.588  0.750
Al  0.588  0.412  0.250
B  0.493  0.121  0.722
B  0.507  0.879  0.278
B  0.879  0.507  0.778
B  0.121  0.493  0.222
B  0.720  0.777  0.505
B  0.280  0.223  0.495
B  0.223  0.280  0.995
B  0.777  0.720  0.005
O  0.193  0.997  0.563
O  0.807  0.003  0.437
O  0.003  0.807  0.937
O  0.997  0.193  0.063
O  0.422  0.896  0.795
O  0.578  0.104  0.205
O  0.104  0.578  0.705
O  0.896  0.422  0.295
O  0.699  0.180  0.639
O  0.301  0.820  0.361
O  0.820  0.301  0.861
O  0.180  0.699  0.139
O  0.631  0.870  0.997
O  0.369  0.130  0.003
O  0.130  0.369  0.503
O  0.870  0.631  0.497
O  0.353  0.269  0.741
O  0.647  0.731  0.259
O  0.731  0.647  0.759
O  0.269  0.353  0.241
O  0.494  0.698  0.574
O  0.506  0.302  0.426
O  0.302  0.506  0.926
O  0.698  0.494  0.074



## Cu2As2O7 (GGA-PBE)

Data for Cu2As2O7 after structural relaxation.

Computed properties:
- Space-group type: No. 15
- Energy of formation from the pure elements: -14.94 eV per formula unit

abc: 5.651 5.651 9.929
angles: 75.25 75.25 95.43
Fractional positions:
Cu  0.728  0.856  0.990
Cu  0.144  0.272  0.510
Cu  0.272  0.144  0.010
Cu  0.856  0.728  0.490
As  0.499  0.973  0.707
As  0.501  0.027  0.293
As  0.027  0.501  0.793
As  0.973  0.499  0.207
O  0.489  0.990  0.124
O  0.794  0.617  0.884
O  0.511  0.010  0.876
O  0.990  0.489  0.624
O  0.210  0.045  0.393
O  0.617  0.794  0.384
O  0.383  0.206  0.616
O  0.665  0.335  0.250
O  0.955  0.790  0.107
O  0.790  0.955  0.607
O  0.010  0.511  0.376
O  0.206  0.383  0.116
O  0.335  0.665  0.750
O  0.045  0.210  0.893